(1)
The following is a DFT calculation (PBE) of an optimized crystal structure of CsRbP.

Unit cell a=5.889 b=5.889 c=5.889 alpha=60.00 beta=60.00 gamma=60.00
Atoms (fractional coordinates):
Cs1 0.750 0.750 0.750
Rb1 0.250 0.250 0.250
P1 0.000 0.000 0.000

Results
The crystal system is cubic. The formation enthalpy at 0 K is -0.0082 eV/atom. The calculation puts the calculated volume at 48.149 A^3/atom. As for the space-group type: No. 216. The total energy is -2.438 eV per atom. The value obtained for the total magnetization is 1.00 μB per formula unit.

---

(2)
The following is a DFT calculation (PBE) of an optimized crystal structure of Nd2Si3Rh.

Unit cell a=8.288 b=8.288 c=8.367 alpha=90.00 beta=90.00 gamma=120.00
Atoms (fractional coordinates):
Nd1 0.000 0.000 0.750
Nd2 0.000 0.000 0.250
Nd3 0.498 0.502 0.750
Nd4 0.498 0.996 0.750
Nd5 0.004 0.502 0.750
Nd6 0.502 0.498 0.250
Nd7 0.996 0.498 0.250
Nd8 0.502 0.004 0.250
Si1 0.834 0.166 0.998
Si2 0.834 0.667 0.998
Si3 0.333 0.166 0.998
Si4 0.834 0.166 0.502
Si5 0.834 0.667 0.502
Si6 0.333 0.166 0.502
Si7 0.166 0.834 0.498
Si8 0.667 0.834 0.498
Si9 0.166 0.333 0.498
Si10 0.166 0.834 0.002
Si11 0.667 0.834 0.002
Si12 0.166 0.333 0.002
Rh1 0.667 0.333 0.994
Rh2 0.667 0.333 0.506
Rh3 0.333 0.667 0.494
Rh4 0.333 0.667 0.006

Results
The crystal system is hexagonal. The formation enthalpy at 0 K is -0.9021 eV/atom. The calculation puts the calculated volume at 20.740 A^3/atom. As for the space-group type: No. 194. The total energy is -6.432 eV per atom. The value obtained for the total magnetization is 0.00 μB per formula unit.

---

(3)
The following is a DFT calculation (PBE) of an optimized crystal structure of MnCoSi.

Unit cell a=3.807 b=3.807 c=3.807 alpha=60.00 beta=60.00 gamma=60.00
Atoms (fractional coordinates):
Mn1 0.000 0.000 0.000
Co1 0.750 0.750 0.750
Si1 0.500 0.500 0.500

Results
The crystal system is cubic. The value obtained for the energy above the most stable polymorph in this dataset is 245 meV per atom. The formation enthalpy at 0 K is -0.1863 eV/atom. The calculation puts the calculated volume at 13.002 A^3/atom. As for the space-group type: No. 216. The total energy is -7.442 eV per atom. The value obtained for the total magnetization is 2.00 μB per formula unit.

---

(4)
The following is a DFT calculation (PBE) of an optimized crystal structure of Y3AlC3.

Unit cell a=3.589 b=7.058 c=9.997 alpha=90.00 beta=90.00 gamma=90.00
Atoms (fractional coordinates):
Y1 0.500 0.510 0.199
Y2 0.500 0.490 0.801
Y3 0.500 0.990 0.199
Y4 0.500 0.010 0.801
Y5 0.000 0.750 0.457
Y6 0.000 0.250 0.543
Al1 0.000 0.750 0.006
Al2 0.000 0.250 0.994
C1 0.500 0.509 0.566
C2 0.500 0.491 0.434
C3 0.500 0.991 0.566
C4 0.500 0.009 0.434
C5 0.000 0.750 0.209
C6 0.000 0.250 0.791

Results
The crystal system is orthorhombic. The formation enthalpy at 0 K is -0.3910 eV/atom. The calculation puts the calculated volume at 18.090 A^3/atom. As for the space-group type: No. 51. The total energy is -7.653 eV per atom.

---

(5)
The following is a DFT calculation (PBE) of an optimized crystal structure of Zn4CdSe5.

Unit cell a=4.118 b=14.945 c=4.118 alpha=82.08 beta=90.00 gamma=82.08
Atoms (fractional coordinates):
Zn1 0.995 0.009 0.995
Zn2 0.399 0.202 0.399
Zn3 0.801 0.398 0.801
Zn4 0.205 0.591 0.205
Cd1 0.600 0.800 0.600
Se1 0.350 0.300 0.850
Se2 0.752 0.495 0.252
Se3 0.157 0.686 0.657
Se4 0.543 0.914 0.043
Se5 0.948 0.105 0.448

Results
The crystal system is tetragonal. The value obtained for the energy above the most stable polymorph in this dataset is 0 meV per atom. The formation enthalpy at 0 K is -0.9225 eV/atom. The calculation puts the calculated volume at 24.856 A^3/atom. As for the space-group type: No. 119. The total energy is -3.031 eV per atom. The value obtained for the total magnetization is 0.00 μB per formula unit.

---

(6)
The following is a DFT calculation (PBE) of an optimized crystal structure of SrAlF5.

Unit cell a=10.805 b=10.805 c=10.805 alpha=96.43 beta=96.43 gamma=140.89
Atoms (fractional coordinates):
Sr1 0.952 0.229 0.173
Sr2 0.779 0.952 0.724
Sr3 0.229 0.055 0.276
Sr4 0.055 0.779 0.827
Sr5 0.257 0.573 0.822
Sr6 0.435 0.257 0.684
Sr7 0.573 0.751 0.316
Sr8 0.751 0.435 0.178
Al1 0.264 0.264 0.000
Al2 0.759 0.759 0.000
Al3 0.503 0.003 0.500
Al4 0.003 0.503 0.500
Al5 0.669 0.184 0.847
Al6 0.821 0.669 0.484
Al7 0.184 0.337 0.516
Al8 0.337 0.821 0.153
F1 0.011 0.011 0.000
F2 0.511 0.511 0.000
F3 0.136 0.293 0.918
F4 0.218 0.136 0.842
F5 0.293 0.375 0.158
F6 0.375 0.218 0.082
F7 0.647 0.806 0.919
F8 0.728 0.647 0.841
F9 0.806 0.887 0.159
F10 0.887 0.728 0.081
F11 0.753 0.253 0.500
F12 0.253 0.753 0.500
F13 0.559 0.117 0.668
F14 0.891 0.559 0.441
F15 0.117 0.450 0.559
F16 0.450 0.891 0.332
F17 0.068 0.611 0.674
F18 0.395 0.068 0.457
F19 0.611 0.938 0.543
F20 0.938 0.395 0.326
F21 0.781 0.429 0.859
F22 0.922 0.781 0.352
F23 0.429 0.570 0.648
F24 0.570 0.922 0.141
F25 0.435 0.083 0.858
F26 0.578 0.435 0.352
F27 0.083 0.225 0.648
F28 0.225 0.578 0.142
F29 0.887 0.277 0.813
F30 0.073 0.887 0.610
F31 0.277 0.464 0.390
F32 0.464 0.073 0.187
F33 0.540 0.931 0.812
F34 0.728 0.540 0.609
F35 0.931 0.120 0.391
F36 0.120 0.728 0.188
F37 0.770 0.257 0.023
F38 0.747 0.770 0.512
F39 0.257 0.234 0.488
F40 0.234 0.747 0.977

Results
The crystal system is tetragonal. The value obtained for the energy above the most stable polymorph in this dataset is 9 meV per atom. The formation enthalpy at 0 K is -4.0342 eV/atom. The calculation puts the calculated volume at 13.391 A^3/atom. As for the space-group type: No. 79. The total energy is -5.848 eV per atom. The value obtained for the total magnetization is 0.00 μB per formula unit.

---

(7)
The following is a DFT calculation (PBE) of an optimized crystal structure of Dy2CuTe2S2O14.

Unit cell a=5.206 b=7.974 c=8.221 alpha=62.06 beta=74.26 gamma=85.23
Atoms (fractional coordinates):
Dy1 0.929 0.748 0.982
Dy2 0.071 0.252 0.018
Cu1 0.000 0.000 0.500
Te1 0.490 0.729 0.655
Te2 0.509 0.271 0.345
S1 0.255 0.747 0.251
S2 0.745 0.253 0.749
O1 0.145 0.586 0.241
O2 0.855 0.414 0.759
O3 0.142 0.746 0.436
O4 0.858 0.254 0.564
O5 0.551 0.739 0.215
O6 0.449 0.261 0.785
O7 0.176 0.921 0.093
O8 0.824 0.079 0.907
O9 0.250 0.560 0.890
O10 0.750 0.440 0.110
O11 0.731 0.812 0.745
O12 0.269 0.188 0.255
O13 0.251 0.928 0.658
O14 0.749 0.072 0.342

Results
The crystal system is triclinic. The formation enthalpy at 0 K is -2.2847 eV/atom. The calculation puts the calculated volume at 13.800 A^3/atom. As for the space-group type: No. 2. The total energy is -6.453 eV per atom. The value obtained for the total magnetization is 1.00 μB per formula unit.

---

(8)
The following is a DFT calculation (PBE) of an optimized crystal structure of Na2ScAlP2SO12.

Unit cell a=8.695 b=8.701 c=22.169 alpha=90.27 beta=89.75 gamma=119.92
Atoms (fractional coordinates):
Na1 0.997 0.636 0.253
Na2 0.369 0.005 0.751
Na3 0.662 0.958 0.586
Na4 0.039 0.335 0.087
Na5 0.329 0.300 0.919
Na6 0.697 0.671 0.419
Na7 0.025 0.000 0.500
Na8 0.003 0.977 0.001
Na9 0.690 0.332 0.831
Na10 0.665 0.310 0.335
Na11 0.357 0.665 0.171
Na12 0.335 0.644 0.665
Sc1 0.998 0.008 0.848
Sc2 0.999 0.998 0.153
Sc3 0.668 0.332 0.982
Sc4 0.327 0.671 0.022
Sc5 0.331 0.675 0.519
Sc6 0.334 0.663 0.810
Al1 0.986 0.997 0.350
Al2 0.003 0.997 0.645
Al3 0.659 0.332 0.683
Al4 0.668 0.345 0.189
Al5 0.667 0.331 0.482
Al6 0.333 0.667 0.319
P1 0.694 0.702 0.254
P2 0.001 0.298 0.253
P3 0.294 0.289 0.744
P4 0.714 0.012 0.741
P5 0.377 0.057 0.584
P6 0.677 0.620 0.583
P7 0.952 0.624 0.089
P8 0.380 0.334 0.087
P9 0.038 0.373 0.917
P10 0.331 0.961 0.913
P11 0.627 0.966 0.416
P12 0.037 0.669 0.413
S1 0.300 0.003 0.254
S2 0.986 0.701 0.744
S3 0.948 0.330 0.584
S4 0.664 0.046 0.089
S5 0.632 0.672 0.917
S6 0.327 0.367 0.415
O1 0.209 0.030 0.306
O2 0.824 0.789 0.308
O3 0.975 0.170 0.304
O4 0.225 0.183 0.804
O5 0.961 0.775 0.801
O6 0.819 0.034 0.799
O7 0.806 0.984 0.686
O8 0.169 0.181 0.693
O9 0.016 0.819 0.693
O10 0.777 0.816 0.198
O11 0.036 0.230 0.192
O12 0.188 0.963 0.199
O13 0.863 0.351 0.639
O14 0.493 0.135 0.641
O15 0.656 0.505 0.638
O16 0.863 0.509 0.145
O17 0.650 0.140 0.143
O18 0.496 0.343 0.141
O19 0.453 0.312 0.026
O20 0.850 0.534 0.031
O21 0.687 0.145 0.033
O22 0.470 0.170 0.528
O23 0.699 0.537 0.523
O24 0.839 0.302 0.530
O25 0.546 0.688 0.972
O26 0.146 0.453 0.976
O27 0.320 0.852 0.970
O28 0.559 0.850 0.474
O29 0.295 0.441 0.470
O30 0.152 0.700 0.469
O31 0.127 0.640 0.357
O32 0.500 0.866 0.363
O33 0.362 0.488 0.363
O34 0.139 0.485 0.862
O35 0.352 0.877 0.854
O36 0.523 0.649 0.863
O37 0.013 0.835 0.405
O38 0.814 0.985 0.405
O39 0.172 0.188 0.404
O40 0.022 0.188 0.912
O41 0.164 0.979 0.912
O42 0.808 0.826 0.912
O43 0.965 0.167 0.588
O44 0.190 0.036 0.591
O45 0.842 0.812 0.590
O46 0.973 0.809 0.092
O47 0.826 0.030 0.092
O48 0.189 0.172 0.091
O49 0.693 0.179 0.736
O50 0.482 0.310 0.737
O51 0.832 0.522 0.737
O52 0.681 0.516 0.246
O53 0.832 0.318 0.246
O54 0.477 0.161 0.246
O55 0.644 0.507 0.919
O56 0.854 0.354 0.919
O57 0.493 0.151 0.917
O58 0.645 0.151 0.426
O59 0.492 0.355 0.421
O60 0.847 0.503 0.422
O61 0.363 0.503 0.086
O62 0.138 0.638 0.086
O63 0.505 0.869 0.086
O64 0.359 0.869 0.579
O65 0.510 0.644 0.579
O66 0.127 0.487 0.580
O67 0.318 0.842 0.262
O68 0.510 0.680 0.265
O69 0.163 0.488 0.263
O70 0.311 0.473 0.748
O71 0.152 0.688 0.747
O72 0.523 0.848 0.745

Results
The crystal system is triclinic. The formation enthalpy at 0 K is -2.8124 eV/atom. The calculation puts the calculated volume at 12.752 A^3/atom. As for the space-group type: No. 1. The total energy is -6.961 eV per atom. The value obtained for the total magnetization is 0.00 μB per formula unit.

---

(9)
The following is a DFT calculation (PBE) of an optimized crystal structure of Ce3Hf.

Unit cell a=4.729 b=4.729 c=4.729 alpha=90.00 beta=90.00 gamma=90.00
Atoms (fractional coordinates):
Ce1 0.000 0.500 0.500
Ce2 0.500 0.000 0.500
Ce3 0.500 0.500 0.000
Hf1 0.000 0.000 0.000

Results
The crystal system is cubic. The value obtained for the energy above the most stable polymorph in this dataset is 25 meV per atom. The formation enthalpy at 0 K is 0.1271 eV/atom. The calculation puts the calculated volume at 26.434 A^3/atom. As for the space-group type: No. 221. The total energy is -6.812 eV per atom. The value obtained for the total magnetization is 0.10 μB per formula unit.

---

(10)
The following is a DFT calculation (PBE) of an optimized crystal structure of In2Te9RuCl8.

Unit cell a=12.110 b=12.110 c=10.475 alpha=87.58 beta=87.58 gamma=60.54
Atoms (fractional coordinates):
In1 0.312 0.346 0.923
In2 0.654 0.688 0.577
In3 0.688 0.654 0.077
In4 0.346 0.312 0.423
Te1 0.297 0.703 0.750
Te2 0.703 0.297 0.250
Te3 0.067 0.785 0.634
Te4 0.215 0.933 0.866
Te5 0.933 0.215 0.366
Te6 0.785 0.067 0.134
Te7 0.938 0.847 0.879
Te8 0.153 0.062 0.621
Te9 0.062 0.153 0.121
Te10 0.847 0.938 0.379
Te11 0.704 0.993 0.767
Te12 0.007 0.296 0.733
Te13 0.296 0.007 0.233
Te14 0.993 0.704 0.267
Te15 0.787 0.144 0.635
Te16 0.856 0.213 0.865
Te17 0.213 0.856 0.365
Te18 0.144 0.787 0.135
Ru1 0.000 0.000 0.500
Ru2 0.000 0.000 0.000
Cl1 0.346 0.133 0.930
Cl2 0.867 0.654 0.570
Cl3 0.654 0.867 0.070
Cl4 0.133 0.346 0.430
Cl5 0.191 0.458 0.739
Cl6 0.542 0.809 0.761
Cl7 0.809 0.542 0.261
Cl8 0.458 0.191 0.239
Cl9 0.170 0.459 0.097
Cl10 0.541 0.830 0.403
Cl11 0.830 0.541 0.903
Cl12 0.459 0.170 0.597
Cl13 0.506 0.354 0.919
Cl14 0.646 0.494 0.581
Cl15 0.494 0.646 0.081
Cl16 0.354 0.506 0.419

Results
The crystal system is monoclinic. The formation enthalpy at 0 K is -0.7999 eV/atom. The calculation puts the calculated volume at 33.398 A^3/atom. As for the space-group type: No. 15. The total energy is -3.447 eV per atom. The value obtained for the total magnetization is 0.00 μB per formula unit.

---

(11)
The following is a DFT calculation (PBE) of an optimized crystal structure of TmTa3.

Unit cell a=4.843 b=4.843 c=4.843 alpha=60.00 beta=60.00 gamma=60.00
Atoms (fractional coordinates):
Tm1 0.000 0.000 0.000
Ta1 0.250 0.250 0.250
Ta2 0.750 0.750 0.750
Ta3 0.500 0.500 0.500

Results
The crystal system is cubic. The formation enthalpy at 0 K is 0.3459 eV/atom. The calculation puts the calculated volume at 20.084 A^3/atom. As for the space-group type: No. 225. The total energy is -9.666 eV per atom. The value obtained for the total magnetization is 0.00 μB per formula unit.

---

(12)
The following is a DFT calculation (PBE) of an optimized crystal structure of Li10SnP2Se12.

Unit cell a=9.083 b=9.434 c=13.796 alpha=92.06 beta=90.72 gamma=90.18
Atoms (fractional coordinates):
Li1 0.989 0.516 0.952
Li2 0.965 0.517 0.428
Li3 0.510 0.965 0.545
Li4 0.497 0.994 0.052
Li5 0.259 0.289 0.159
Li6 0.743 0.748 0.283
Li7 0.215 0.816 0.755
Li8 0.233 0.758 0.253
Li9 0.752 0.217 0.351
Li10 0.462 0.513 0.751
Li11 0.231 0.225 0.366
Li12 0.736 0.259 0.857
Li13 0.248 0.760 0.006
Li14 0.740 0.262 0.132
Li15 0.765 0.725 0.688
Li16 0.222 0.262 0.920
Li17 0.746 0.760 0.009
Li18 0.242 0.721 0.484
Li19 0.785 0.216 0.625
Li20 0.240 0.213 0.649
Sn1 0.996 0.490 0.183
Sn2 0.511 0.991 0.816
P1 0.992 0.966 0.502
P2 0.492 0.515 0.993
P3 0.009 0.482 0.684
P4 0.488 0.010 0.311
Se1 0.988 0.182 0.444
Se2 0.006 0.790 0.387
Se3 0.290 0.534 0.899
Se4 0.689 0.534 0.897
Se5 0.496 0.698 0.100
Se6 0.486 0.306 0.060
Se7 0.201 0.945 0.590
Se8 0.796 0.946 0.593
Se9 0.006 0.281 0.058
Se10 0.001 0.726 0.098
Se11 0.217 0.485 0.599
Se12 0.811 0.492 0.587
Se13 0.486 0.797 0.375
Se14 0.496 0.182 0.426
Se15 0.268 0.989 0.911
Se16 0.732 0.003 0.930
Se17 0.991 0.665 0.791
Se18 0.004 0.276 0.760
Se19 0.762 0.466 0.280
Se20 0.217 0.479 0.299
Se21 0.519 0.216 0.715
Se22 0.489 0.782 0.692
Se23 0.690 0.014 0.219
Se24 0.288 0.031 0.217

Results
The crystal system is triclinic. The value obtained for the energy above the most stable polymorph in this dataset is 0 meV per atom. The formation enthalpy at 0 K is -1.0541 eV/atom. The calculation puts the calculated volume at 23.627 A^3/atom. As for the space-group type: No. 1. The total energy is -3.863 eV per atom. The value obtained for the total magnetization is 0.00 μB per formula unit.